Entry from Materials Project: an optimized crystal structure of LuSi2Pd2 (PBE).

CIF file:
```
data_LuSi2Pd2
_cell_length_a 5.771
_cell_length_b 5.771
_cell_length_c 5.771
_cell_angle_alpha 138.17
_cell_angle_beta 138.17
_cell_angle_gamma 60.64
_symmetry_space_group_name_H-M 'P 1'
_symmetry_Int_Tables_number 1
_symmetry_space_group_name_Hall 'P 1'
loop_
_atom_site_label
_atom_site_type_symbol
_atom_site_fract_x
_atom_site_fract_y
_atom_site_fract_z
Lu1 Lu 0.000 0.000 0.000
Si1 Si 0.385 0.385 0.000
Si2 Si 0.615 0.615 0.000
Pd1 Pd 0.250 0.750 0.500
Pd2 Pd 0.750 0.250 0.500
```

***

# Cu7H9S4N4 PBE optimized geometry
data_Cu7H9S4N4
_cell_length_a 6.834
_cell_length_b 8.192
_cell_length_c 10.493
_cell_angle_alpha 90.00
_cell_angle_beta 101.01
_cell_angle_gamma 90.00
_symmetry_space_group_name_H-M 'P 1'
_symmetry_Int_Tables_number 1
_symmetry_space_group_name_Hall 'P 1'
loop_
_atom_site_label
_atom_site_type_symbol
_atom_site_fract_x
_atom_site_fract_y
_atom_site_fract_z
Cu1 Cu 0.050 0.000 0.373
Cu2 Cu 0.085 0.003 0.631
Cu3 Cu 0.201 0.322 0.520
Cu4 Cu 0.215 0.651 0.527
Cu5 Cu 0.425 0.980 0.496
Cu6 Cu 0.429 0.243 0.356
Cu7 Cu 0.440 0.720 0.359
Cu8 Cu 0.560 0.220 0.641
Cu9 Cu 0.571 0.743 0.644
Cu10 Cu 0.575 0.480 0.504
Cu11 Cu 0.785 0.151 0.473
Cu12 Cu 0.799 0.822 0.480
Cu13 Cu 0.915 0.503 0.369
Cu14 Cu 0.950 0.500 0.627
H1 H 0.004 0.523 0.038
H2 H 0.163 0.647 0.888
H3 H 0.205 0.748 0.026
H4 H 0.207 0.396 0.011
H5 H 0.231 0.517 0.146
H6 H 0.235 0.217 0.850
H7 H 0.294 0.078 0.103
H8 H 0.336 0.981 0.972
H9 H 0.447 0.228 0.957
H10 H 0.553 0.728 0.043
H11 H 0.664 0.481 0.028
H12 H 0.706 0.578 0.897
H13 H 0.765 0.717 0.150
H14 H 0.769 0.017 0.854
H15 H 0.793 0.896 0.989
H16 H 0.795 0.248 0.974
H17 H 0.837 0.147 0.112
H18 H 0.996 0.023 0.962
S1 S 0.087 0.255 0.309
S2 S 0.096 0.739 0.326
S3 S 0.402 0.480 0.670
S4 S 0.416 0.981 0.708
S5 S 0.584 0.481 0.292
S6 S 0.598 0.980 0.330
S7 S 0.904 0.239 0.674
S8 S 0.913 0.755 0.691
N1 N 0.163 0.511 0.049
N2 N 0.244 0.644 0.982
N3 N 0.249 0.069 0.003
N4 N 0.294 0.224 0.948
N5 N 0.706 0.724 0.052
N6 N 0.751 0.569 0.997
N7 N 0.756 0.144 0.018
N8 N 0.837 0.011 0.951
# **Energy with MP2020 corrections**: -4.84 eV per atom
# **Magnetization**: 0.00 Bohr magnetons per cell

***

Number 1: ΔE_f -4.500 eV per formula unit. Number 2: ΔE_f -6.941 eV per formula unit.